Record 1
The following is a DFT calculation (PBE) of Sr2CuB2O6 after structural relaxation.

```
Sr2CuB2O6
1.0
8.839 0.000 0.000
0.000 5.874 0.000
0.000 2.821 5.436
O B Sr Cu
12 4 4 2
direct
0.408 0.211 0.180
0.809 0.034 0.817
0.309 0.966 0.683
0.838 0.594 0.886
0.162 0.406 0.114
0.662 0.594 0.386
0.092 0.211 0.680
0.908 0.789 0.320
0.691 0.034 0.317
0.592 0.789 0.820
0.191 0.966 0.183
0.338 0.406 0.614
0.251 0.196 0.659
0.751 0.804 0.841
0.749 0.804 0.341
0.249 0.196 0.159
0.394 0.666 0.162
0.894 0.334 0.338
0.106 0.666 0.662
0.606 0.334 0.838
0.000 0.000 0.000
0.500 0.000 0.500
```

Computed properties:
DFT total energy in hartree per atom: -0.2573
MP2020-corrected energy in eV per cell: -162.286
SG: P2_1/c (14)
Energy relative to the elements in eV/atom: -2.78
Energy relative to the lowest polymorph listed for this composition in meV/atom: 0

Record 2
The following is a DFT calculation (PBE) of Tb2CuB8O16 after structural relaxation.

```
Tb2CuB8O16
1.0
8.467 0.000 0.000
0.000 6.298 0.000
0.000 0.078 10.288
B O Tb Cu
16 32 4 2
direct
0.689 0.386 0.385
0.006 0.992 0.806
0.181 0.890 0.001
0.311 0.614 0.615
0.319 0.390 0.001
0.819 0.110 0.999
0.811 0.886 0.385
0.307 0.622 0.371
0.189 0.114 0.615
0.494 0.492 0.806
0.994 0.008 0.194
0.807 0.878 0.629
0.193 0.122 0.371
0.506 0.508 0.194
0.681 0.610 0.999
0.693 0.378 0.629
0.404 0.659 0.263
0.841 0.444 0.365
0.580 0.638 0.893
0.155 0.563 0.355
0.165 0.443 0.012
0.665 0.057 0.988
0.125 0.150 0.493
0.345 0.063 0.355
0.875 0.850 0.507
0.589 0.355 0.279
0.375 0.650 0.493
0.096 0.159 0.263
0.655 0.937 0.645
0.089 0.145 0.721
0.596 0.341 0.737
0.904 0.841 0.737
0.420 0.362 0.107
0.382 0.349 0.877
0.335 0.943 0.012
0.920 0.138 0.893
0.341 0.056 0.635
0.835 0.557 0.988
0.882 0.151 0.123
0.080 0.862 0.107
0.118 0.849 0.877
0.911 0.855 0.279
0.411 0.645 0.721
0.625 0.350 0.507
0.618 0.651 0.123
0.659 0.944 0.365
0.845 0.437 0.645
0.159 0.556 0.635
0.489 0.993 0.818
0.511 0.007 0.182
0.011 0.493 0.818
0.989 0.507 0.182
0.000 0.500 0.500
0.500 0.000 0.500
```

Computed properties:
DFT total energy in hartree per atom: -0.2919
MP2020-corrected energy in eV per cell: -450.971
SG: P2_1/c (14)
Energy relative to the elements in eV/atom: -2.94

Record 3
The following is a DFT calculation (PBE) of Tl4Cu3B18O44 after structural relaxation.

```
Tl4Cu3B18O44
1.0
0.000 0.000 7.674
12.521 0.000 0.000
0.000 12.511 -3.837
O B Cu Tl
44 18 3 4
direct
0.787 0.500 0.153
0.485 0.684 0.709
0.571 0.752 0.432
0.314 0.868 0.407
0.322 0.269 0.279
0.990 0.178 0.353
0.095 0.238 0.906
0.504 0.584 0.111
0.314 0.132 0.407
0.393 0.584 0.889
0.002 0.287 0.204
0.711 0.000 0.632
0.504 0.416 0.111
0.189 0.762 0.094
0.078 0.000 0.368
0.139 0.248 0.568
0.757 0.600 0.000
0.776 0.684 0.291
0.043 0.731 0.721
0.571 0.248 0.432
0.009 0.094 0.000
0.798 0.713 0.796
0.909 0.110 0.777
0.907 0.132 0.593
0.189 0.238 0.094
0.907 0.868 0.593
0.009 0.906 0.000
0.636 0.822 0.647
0.132 0.890 0.223
0.757 0.400 0.000
0.002 0.713 0.204
0.322 0.731 0.279
0.139 0.752 0.568
0.095 0.762 0.906
0.485 0.316 0.709
0.798 0.287 0.796
0.132 0.110 0.223
0.636 0.178 0.647
0.909 0.890 0.777
0.776 0.316 0.291
0.393 0.416 0.889
0.634 0.500 0.847
0.990 0.822 0.353
0.043 0.269 0.721
0.643 0.260 0.717
0.789 0.898 0.660
0.400 0.216 0.374
0.966 0.227 0.804
0.925 0.740 0.283
0.098 0.806 0.000
0.400 0.784 0.374
0.162 0.773 0.196
0.643 0.740 0.717
0.129 0.102 0.340
0.162 0.227 0.196
0.098 0.194 0.000
0.789 0.102 0.660
0.026 0.784 0.626
0.966 0.773 0.804
0.925 0.260 0.283
0.129 0.898 0.340
0.026 0.216 0.626
0.563 0.500 0.000
0.953 0.000 0.880
0.073 0.000 0.120
0.764 0.000 0.415
0.042 0.500 0.773
0.349 0.000 0.585
0.269 0.500 0.227
```

Computed properties:
DFT total energy in hartree per atom: -0.2395
MP2020-corrected energy in eV per cell: -479.997
SG: Amm2 (38)
Energy relative to the elements in eV/atom: -1.74

Record 4
The following is a DFT calculation (PBE) of TmCuB5O10 after structural relaxation.

```
TmCuB5O10
1.0
-3.153 4.276 6.341
3.153 -4.276 6.341
3.153 4.276 -6.341
O B Cu Tm
20 10 2 2
direct
0.408 0.464 0.244
0.626 0.648 0.274
0.280 0.036 0.944
0.769 0.174 0.717
0.456 0.052 0.283
0.592 0.536 0.756
0.374 0.352 0.726
0.731 0.448 0.404
0.908 0.664 0.944
0.092 0.336 0.056
0.874 0.148 0.022
0.044 0.326 0.596
0.780 0.836 0.244
0.956 0.674 0.404
0.544 0.948 0.717
0.231 0.826 0.283
0.126 0.852 0.978
0.220 0.164 0.756
0.720 0.964 0.056
0.269 0.552 0.596
0.709 0.017 0.924
0.908 0.215 0.924
0.408 0.483 0.692
0.291 0.983 0.076
0.250 0.250 0.000
0.092 0.785 0.076
0.791 0.715 0.308
0.209 0.285 0.692
0.750 0.750 0.000
0.592 0.517 0.308
0.000 0.500 0.500
0.500 0.000 0.500
0.250 0.750 0.500
0.750 0.250 0.500
```

Computed properties:
DFT total energy in hartree per atom: -0.2865
MP2020-corrected energy in eV per cell: -278.798
SG: Ibam (72)
Energy relative to the elements in eV/atom: -2.82

Record 5
The following is a DFT calculation (PBE) of ZnCu2B2O6 after structural relaxation.

```
ZnCu2B2O6
1.0
-10.921 6.247 8.045
-1.657 -2.940 0.034
3.841 -3.379 7.838
O Cu B Zn
24 8 8 4
direct
0.993 0.609 0.206
0.655 0.193 0.762
0.426 0.182 0.964
0.884 0.138 0.955
0.384 0.862 0.545
0.266 0.270 0.968
0.616 0.138 0.455
0.766 0.730 0.532
0.507 0.609 0.706
0.007 0.391 0.794
0.234 0.270 0.468
0.651 0.475 0.237
0.155 0.807 0.738
0.849 0.475 0.737
0.845 0.193 0.262
0.074 0.182 0.464
0.345 0.807 0.238
0.734 0.730 0.032
0.926 0.818 0.536
0.349 0.525 0.763
0.151 0.525 0.263
0.116 0.862 0.045
0.493 0.391 0.294
0.574 0.818 0.036
0.543 0.201 0.865
0.457 0.799 0.135
0.759 0.153 0.877
0.241 0.847 0.123
0.259 0.847 0.623
0.043 0.799 0.635
0.957 0.201 0.365
0.741 0.153 0.377
0.152 0.318 0.404
0.579 0.333 0.333
0.848 0.682 0.596
0.652 0.682 0.096
0.421 0.667 0.667
0.079 0.667 0.167
0.921 0.333 0.833
0.348 0.318 0.904
0.862 0.733 0.136
0.138 0.267 0.864
0.362 0.267 0.364
0.638 0.733 0.636
```

Computed properties:
DFT total energy in hartree per atom: -0.2317
MP2020-corrected energy in eV per cell: -293.912
SG: P2_1/c (14)
Energy relative to the elements in eV/atom: -1.91

Record 6
The following is a DFT calculation (PBE) of Ti9Cu2B8Ru18 after structural relaxation.

```
Ti9Cu2B8Ru18
1.0
-12.690 11.736 -3.391
-10.531 -12.988 -5.539
-1.053 -0.334 2.784
B Ru Ti Cu
16 36 18 4
direct
0.164 0.538 0.500
0.664 0.962 0.500
0.462 0.164 0.500
0.879 0.169 0.500
0.836 0.462 0.500
0.962 0.336 0.500
0.538 0.836 0.500
0.169 0.121 0.500
0.831 0.879 0.500
0.331 0.621 0.500
0.379 0.331 0.500
0.669 0.379 0.500
0.621 0.669 0.500
0.336 0.038 0.500
0.038 0.664 0.500
0.121 0.831 0.500
0.711 0.669 0.000
0.419 0.247 0.000
0.673 0.051 0.000
0.570 0.597 0.000
0.551 0.173 0.000
0.289 0.331 0.000
0.051 0.327 0.000
0.581 0.753 0.000
0.173 0.449 0.000
0.789 0.169 0.000
0.919 0.253 0.000
0.903 0.930 0.000
0.169 0.211 0.000
0.211 0.831 0.000
0.827 0.551 0.000
0.331 0.711 0.000
0.253 0.081 0.000
0.327 0.949 0.000
0.669 0.289 0.000
0.915 0.415 0.000
0.585 0.915 0.000
0.247 0.581 0.000
0.430 0.403 0.000
0.597 0.430 0.000
0.081 0.747 0.000
0.831 0.789 0.000
0.930 0.097 0.000
0.449 0.827 0.000
0.415 0.085 0.000
0.403 0.570 0.000
0.753 0.419 0.000
0.747 0.919 0.000
0.949 0.673 0.000
0.085 0.585 0.000
0.070 0.903 0.000
0.097 0.070 0.000
0.171 0.329 0.500
0.829 0.671 0.500
0.312 0.465 0.500
0.304 0.196 0.500
0.500 0.500 0.500
0.035 0.188 0.500
0.688 0.535 0.500
0.804 0.304 0.500
0.535 0.312 0.500
0.188 0.965 0.500
0.196 0.696 0.500
0.965 0.812 0.500
0.671 0.171 0.500
0.000 0.000 0.500
0.329 0.829 0.500
0.465 0.688 0.500
0.696 0.804 0.500
0.812 0.035 0.500
0.951 0.549 0.500
0.549 0.049 0.500
0.049 0.451 0.500
0.451 0.951 0.500
```

Computed properties:
DFT total energy in hartree per atom: -0.3167
SG: P4/mbm (127)
Energy relative to the elements in eV/atom: -0.52

What did the third record say?
The following is a DFT calculation (PBE) of Tl4Cu3B18O44 after structural relaxation.

```
Tl4Cu3B18O44
1.0
0.000 0.000 7.674
12.521 0.000 0.000
0.000 12.511 -3.837
O B Cu Tl
44 18 3 4
direct
0.787 0.500 0.153
0.485 0.684 0.709
0.571 0.752 0.432
0.314 0.868 0.407
0.322 0.269 0.279
0.990 0.178 0.353
0.095 0.238 0.906
0.504 0.584 0.111
0.314 0.132 0.407
0.393 0.584 0.889
0.002 0.287 0.204
0.711 0.000 0.632
0.504 0.416 0.111
0.189 0.762 0.094
0.078 0.000 0.368
0.139 0.248 0.568
0.757 0.600 0.000
0.776 0.684 0.291
0.043 0.731 0.721
0.571 0.248 0.432
0.009 0.094 0.000
0.798 0.713 0.796
0.909 0.110 0.777
0.907 0.132 0.593
0.189 0.238 0.094
0.907 0.868 0.593
0.009 0.906 0.000
0.636 0.822 0.647
0.132 0.890 0.223
0.757 0.400 0.000
0.002 0.713 0.204
0.322 0.731 0.279
0.139 0.752 0.568
0.095 0.762 0.906
0.485 0.316 0.709
0.798 0.287 0.796
0.132 0.110 0.223
0.636 0.178 0.647
0.909 0.890 0.777
0.776 0.316 0.291
0.393 0.416 0.889
0.634 0.500 0.847
0.990 0.822 0.353
0.043 0.269 0.721
0.643 0.260 0.717
0.789 0.898 0.660
0.400 0.216 0.374
0.966 0.227 0.804
0.925 0.740 0.283
0.098 0.806 0.000
0.400 0.784 0.374
0.162 0.773 0.196
0.643 0.740 0.717
0.129 0.102 0.340
0.162 0.227 0.196
0.098 0.194 0.000
0.789 0.102 0.660
0.026 0.784 0.626
0.966 0.773 0.804
0.925 0.260 0.283
0.129 0.898 0.340
0.026 0.216 0.626
0.563 0.500 0.000
0.953 0.000 0.880
0.073 0.000 0.120
0.764 0.000 0.415
0.042 0.500 0.773
0.349 0.000 0.585
0.269 0.500 0.227
```

Computed properties:
DFT total energy in hartree per atom: -0.2395
MP2020-corrected energy in eV per cell: -479.997
SG: Amm2 (38)
Energy relative to the elements in eV/atom: -1.74